No. 1
This record from the Materials Project describes an optimized crystal structure of Sm4Si2S3O7. The functional is PBE.

The total magnetization comes out at 0.00 μB/f.u. The value obtained for the energy relative to the elements is -3.26 eV/atom. The calculation puts the calculated density at 5.766 g/cm3.

The space group is I4_1/amd (No. 141, origin choice 2) and the conventional cell measures 11.923, 11.923 and 14.030 Å, with angles of 90.00, 90.00 and 90.00 degrees. The asymmetric unit holds Sm at (0.000, 0.014, 0.343), Sm at (0.172, 0.078, 0.875), Si at (0.000, 0.125, 0.097), S at (0.000, 0.250, 0.375), S at (0.000, 0.250, 0.875), S at (0.148, 0.000, 0.500), O at (0.000, 0.021, 0.175), O at (0.000, 0.250, 0.148) and O at (0.121, 0.109, 0.043).

***

No. 2
This record from the Materials Project describes an optimized crystal structure of CrN2. The functional is PBE.

The total magnetization comes out at 0.00 μB/f.u. The value obtained for the energy relative to the elements is -0.05 eV/atom. The calculation puts the calculated density at 2.804 g/cm3.

The space group is Pbcn (No. 60) and the conventional cell measures 9.299, 11.404 and 5.363 Å, with angles of 90.00, 90.00 and 90.00 degrees. The asymmetric unit holds Cr at (0.000, 0.215, 0.250), Cr at (0.205, 0.416, 0.561), N at (0.096, 0.301, 0.452), N at (0.119, 0.129, 0.073) and N at (0.172, 0.469, 0.858).

***

No. 3
This record from the Materials Project describes an optimized crystal structure of PdS2. The functional is PBE.

The value obtained for the energy relative to the elements is -0.61 eV/atom. The calculation puts the calculated density at 4.277 g/cm3.

The space group is Pbca (No. 61) and the conventional cell measures 5.502, 5.594 and 8.607 Å, with angles of 90.00, 90.00 and 90.00 degrees. The asymmetric unit holds Pd at (0.000, 0.000, 0.000) and S at (0.104, 0.110, 0.427).

***

No. 4
This record from the Materials Project describes an optimized crystal structure of LiB11. The functional is PBE.

The total magnetization comes out at 0.00 μB/f.u. The value obtained for the energy relative to the elements is 0.67 eV/atom. Its energy relative to the lowest polymorph listed for this composition is 540 meV/atom. The calculation puts the calculated density at 2.528 g/cm3.

The space group is I-4m2 (No. 119) and the conventional cell measures 5.441, 5.441 and 5.585 Å, with angles of 90.00, 90.00 and 90.00 degrees. The asymmetric unit holds Li at (0.000, 0.000, 0.000), B at (0.000, 0.213, 0.586), B at (0.000, 0.500, 0.070), B at (0.000, 0.500, 0.750) and B at (0.203, 0.297, 0.250).